VASP calculation (PBE) on a relaxed MgTeBr6O6 crystal.

ΔE to the lowest computed polymorph   0.000 eV per atom
Magnetization   0.00 μB per formula unit
Total DFT energy (no corrections)   -181.8 eV/cell
DFT formation energy   -0.38 eV/atom

Unit cell a=10.962 b=10.962 c=10.962 alpha=90.00 beta=90.00 gamma=90.00
Positions (direct):
Mg (0.000, 0.000, 0.000)
Mg (0.000, 0.500, 0.500)
Mg (0.500, 0.000, 0.500)
Mg (0.500, 0.500, 0.000)
Te (0.000, 0.000, 0.500)
Te (0.000, 0.500, 0.000)
Te (0.500, 0.000, 0.000)
Te (0.500, 0.500, 0.500)
Br (0.030, 0.225, 0.652)
Br (0.030, 0.275, 0.152)
Br (0.152, 0.030, 0.275)
Br (0.152, 0.470, 0.775)
Br (0.225, 0.652, 0.030)
Br (0.225, 0.848, 0.530)
Br (0.275, 0.152, 0.030)
Br (0.275, 0.348, 0.530)
Br (0.348, 0.530, 0.275)
Br (0.348, 0.970, 0.775)
Br (0.470, 0.725, 0.652)
Br (0.470, 0.775, 0.152)
Br (0.530, 0.225, 0.848)
Br (0.530, 0.275, 0.348)
Br (0.652, 0.030, 0.225)
Br (0.652, 0.470, 0.725)
Br (0.725, 0.652, 0.470)
Br (0.725, 0.848, 0.970)
Br (0.775, 0.152, 0.470)
Br (0.775, 0.348, 0.970)
Br (0.848, 0.530, 0.225)
Br (0.848, 0.970, 0.725)
Br (0.970, 0.725, 0.848)
Br (0.970, 0.775, 0.348)
O (0.062, 0.655, 0.399)
O (0.062, 0.845, 0.899)
O (0.101, 0.562, 0.655)
O (0.101, 0.938, 0.155)
O (0.155, 0.101, 0.938)
O (0.155, 0.399, 0.438)
O (0.345, 0.601, 0.938)
O (0.345, 0.899, 0.438)
O (0.399, 0.062, 0.655)
O (0.399, 0.438, 0.155)
O (0.438, 0.155, 0.399)
O (0.438, 0.345, 0.899)
O (0.562, 0.655, 0.101)
O (0.562, 0.845, 0.601)
O (0.601, 0.562, 0.845)
O (0.601, 0.938, 0.345)
O (0.655, 0.101, 0.562)
O (0.655, 0.399, 0.062)
O (0.845, 0.601, 0.562)
O (0.845, 0.899, 0.062)
O (0.899, 0.062, 0.845)
O (0.899, 0.438, 0.345)
O (0.938, 0.155, 0.101)
O (0.938, 0.345, 0.601)

VASP calculation (PBE) on a relaxed Li3CuPCO7 crystal.

ΔE to the lowest computed polymorph   0.009 eV per atom
Magnetization   1.00 μB per formula unit
Total DFT energy (no corrections)   -165.7 eV/cell
DFT formation energy   -2.20 eV/atom

Unit cell a=5.108 b=6.271 c=8.457 alpha=90.00 beta=91.37 gamma=90.00
Positions (direct):
Li (0.019, 0.000, 0.000)
Li (0.446, 0.681, 0.816)
Li (0.448, 0.924, 0.491)
Li (0.552, 0.424, 0.509)
Li (0.554, 0.181, 0.184)
Li (0.981, 0.500, 0.000)
Cu (0.026, 0.245, 0.725)
Cu (0.974, 0.745, 0.275)
P (0.038, 0.242, 0.339)
P (0.962, 0.742, 0.661)
C (0.492, 0.732, 0.130)
C (0.508, 0.232, 0.870)
O (0.015, 0.939, 0.769)
O (0.082, 0.556, 0.765)
O (0.114, 0.766, 0.508)
O (0.243, 0.754, 0.093)
O (0.334, 0.206, 0.371)
O (0.345, 0.217, 0.985)
O (0.433, 0.230, 0.723)
O (0.567, 0.730, 0.277)
O (0.655, 0.717, 0.015)
O (0.666, 0.706, 0.629)
O (0.757, 0.254, 0.907)
O (0.886, 0.266, 0.492)
O (0.918, 0.056, 0.235)
O (0.985, 0.439, 0.231)

VASP calculation (PBE) on a relaxed LaEr3 crystal.

Total DFT energy (no corrections)   -36.9 eV/cell
DFT formation energy   0.05 eV/atom

Unit cell a=5.070 b=5.070 c=10.107 alpha=90.00 beta=90.00 gamma=90.00
Positions (direct):
La (0.000, 0.000, 0.000)
La (0.500, 0.500, 0.500)
Er (0.000, 0.000, 0.500)
Er (0.000, 0.500, 0.250)
Er (0.000, 0.500, 0.750)
Er (0.500, 0.000, 0.250)
Er (0.500, 0.000, 0.750)
Er (0.500, 0.500, 0.000)

VASP calculation (PBE) on a relaxed NaCSO3F3 crystal.

Magnetization   0.00 μB per formula unit
Total DFT energy (no corrections)   -396.0 eV/cell
DFT formation energy   -1.96 eV/atom

Unit cell a=10.221 b=11.034 c=11.331 alpha=101.25 beta=105.05 gamma=110.72
Positions (direct):
Na (0.000, 0.000, 0.000)
Na (0.013, 0.833, 0.217)
Na (0.090, 0.362, 0.208)
Na (0.397, 0.622, 0.152)
Na (0.476, 0.162, 0.144)
Na (0.490, 0.994, 0.366)
Na (0.672, 0.956, 0.153)
Na (0.745, 0.494, 0.180)
C (0.228, 0.266, 0.837)
C (0.231, 0.811, 0.861)
C (0.259, 0.178, 0.496)
C (0.262, 0.723, 0.520)
C (0.639, 0.626, 0.817)
C (0.690, 0.146, 0.825)
C (0.800, 0.845, 0.532)
C (0.850, 0.361, 0.540)
S (0.189, 0.691, 0.342)
S (0.238, 0.812, 0.029)
S (0.254, 0.177, 0.329)
S (0.300, 0.298, 0.015)
S (0.691, 0.706, 0.995)
S (0.721, 0.793, 0.351)
S (0.768, 0.196, 0.006)
S (0.801, 0.282, 0.362)
O (0.026, 0.633, 0.300)
O (0.103, 0.074, 0.244)
O (0.120, 0.853, 0.043)
O (0.210, 0.673, 0.028)
O (0.236, 0.161, 0.027)
O (0.239, 0.389, 0.065)
O (0.249, 0.599, 0.292)
O (0.254, 0.828, 0.330)
O (0.282, 0.316, 0.330)
O (0.373, 0.138, 0.317)
O (0.391, 0.914, 0.112)
O (0.463, 0.357, 0.057)
O (0.553, 0.681, 0.020)
O (0.595, 0.832, 0.323)
O (0.643, 0.116, 0.040)
O (0.672, 0.646, 0.306)
O (0.708, 0.345, 0.303)
O (0.712, 0.135, 0.338)
O (0.780, 0.853, 0.018)
O (0.781, 0.641, 0.054)
O (0.818, 0.344, 0.052)
O (0.843, 0.874, 0.314)
O (0.892, 0.156, 0.032)
O (0.941, 0.313, 0.340)
F (0.076, 0.198, 0.791)
F (0.095, 0.720, 0.775)
F (0.152, 0.211, 0.523)
F (0.207, 0.802, 0.580)
F (0.223, 0.605, 0.548)
F (0.236, 0.052, 0.508)
F (0.254, 0.937, 0.849)
F (0.266, 0.384, 0.809)
F (0.282, 0.187, 0.777)
F (0.338, 0.778, 0.834)
F (0.394, 0.269, 0.582)
F (0.413, 0.791, 0.566)
F (0.543, 0.667, 0.747)
F (0.562, 0.161, 0.785)
F (0.576, 0.489, 0.785)
F (0.660, 0.013, 0.774)
F (0.700, 0.767, 0.575)
F (0.724, 0.321, 0.568)
F (0.765, 0.666, 0.788)
F (0.790, 0.223, 0.782)
F (0.830, 0.977, 0.584)
F (0.913, 0.499, 0.572)
F (0.928, 0.829, 0.571)
F (0.946, 0.322, 0.611)